1.
Below is a geometry-optimized AcMg3 structure, with properties calculated at the GGA-PBE level.

Structure (POSCAR):
```
AcMg3
1.0
-6.908 -0.869 -1.732
3.815 -5.565 2.439
-1.406 1.225 4.993
Mg Ac
6 2
Cartesian
-1.908 -5.007 2.113
1.816 -4.538 3.047
-0.241 -1.537 1.731
-6.315 -0.672 2.653
-2.590 -0.204 3.587
-4.258 -3.673 3.969
-0.814 -3.082 4.793
-3.685 -2.129 0.907
```

Values from the calculation:
As for the symmetry: P6_3/mmc (194).

=====

2.
Below is a geometry-optimized VP4 structure, with properties calculated at the GGA-PBE level.

Structure (POSCAR):
```
VP4
1.0
-2.742 -5.399 0.713
5.383 1.245 -2.580
3.497 -2.233 4.123
P V
8 2
Cartesian
1.124 -2.462 1.117
5.014 -3.925 1.139
3.614 -0.355 0.035
2.523 -6.032 2.221
4.337 -2.381 2.585
1.801 -4.006 -0.329
1.751 -4.424 3.561
4.386 -1.963 -1.305
-1.362 -5.544 1.539
7.500 -0.843 0.717
```

Values from the calculation:
As for the symmetry: C2/c (15).

=====

3.
Below is a geometry-optimized TiPt3 structure, with properties calculated at the GGA-PBE level.

Structure (POSCAR):
```
TiPt3
1.0
-1.888 2.849 4.427
-0.177 -5.590 -0.011
14.559 -0.475 6.515
Pt Ti
21 7
Cartesian
3.050 -4.297 4.066
5.782 -4.386 3.523
12.014 -4.591 6.311
4.079 -2.931 1.864
0.391 -1.421 4.614
3.138 -1.511 4.071
7.654 -0.253 5.195
6.711 1.170 7.407
-0.089 -2.795 -0.006
0.480 1.375 4.619
8.414 -0.285 9.066
5.871 -1.593 3.529
1.424 -0.050 2.405
9.355 -1.705 6.859
12.102 -1.795 6.316
-1.033 -1.371 2.208
9.444 1.081 6.864
11.069 -3.166 8.525
-0.944 1.424 2.213
4.839 -2.963 5.735
6.623 -1.623 7.401
4.088 -0.133 1.829
4.935 -0.168 5.745
1.340 -2.845 2.402
10.471 -0.342 4.685
0.000 0.000 0.000
11.153 -0.371 8.528
7.559 -3.048 5.185
```

Values from the calculation:
As for the symmetry: P-3m1 (164).

=====

4.
Below is a geometry-optimized CrCuS2 structure, with properties calculated at the GGA-PBE level.

Structure (POSCAR):
```
CrCuS2
1.0
-2.887 -6.006 -0.635
-0.395 -6.528 1.431
-3.218 -5.289 2.548
S Cu Cr
2 1 1
Cartesian
-1.733 -4.753 0.891
-0.782 -2.143 0.402
-0.036 -0.099 0.019
-5.574 -15.283 2.867
```

Values from the calculation:
As for the symmetry: R3m (160).

=====

| no. | formation enthalpy at 0 K (kJ per mole of atoms) |
| --- | --- |
| 1 | -3.6 |
| 2 | -33.0 |
| 3 | -81.9 |
| 4 | -56.3 |